# 1
Here is crystalline V2Cu2O7 at its relaxed geometry from the Materials Project. Energies are from GGA+U.

abc: 11.2872 10.8560 5.5000
angles: 80.02 71.30 28.68
Element x y z (fractional)
O 0.0761 0.9249 0.5246
O 0.9481 0.2283 0.8533
Cu 0.2973 0.0299 0.9595
O 0.0849 0.6307 0.8006
Cu 0.7133 0.9595 0.0299
Cu 0.2905 0.5367 0.9527
O 0.6193 0.1651 0.7662
O 0.6504 0.3496 0.3496
Cu 0.2201 0.9527 0.5367
O 0.9702 0.8533 0.2283
V 0.1872 0.4119 0.6191
O 0.0217 0.3019 0.2798
O 0.9004 0.5996 0.5996
V 0.6309 0.4683 0.0628
V 0.7817 0.6191 0.4119
O 0.4494 0.7662 0.1651
O 0.3251 0.1739 0.7756
O 0.3967 0.2798 0.3019
O 0.4838 0.8006 0.6307
V 0.8381 0.0628 0.4683
O 0.7254 0.7756 0.1739
O 0.4744 0.5246 0.9249

Summary:
- Energy above the most stable polymorph in this dataset: 7 meV per atom
- Energy of formation from the pure elements: -1.8027 eV per atom
- Total energy after the MP2020 corrections: -7.3484 eV/atom
- Theoretical density: 3.8 g/cm³
- Final energy: -6.60 eV per atom

=====

# 2
Here is crystalline BiMoO3 at its relaxed geometry from the Materials Project. Energies are from GGA+U.

abc: 4.1166 4.1166 4.1166
angles: 90.00 90.00 90.00
Element x y z (fractional)
O 0.5000 0.5000 0.0000
Bi 0.0000 0.0000 0.0000
Mo 0.5000 0.5000 0.5000
O 0.5000 0.0000 0.5000
O 0.0000 0.5000 0.5000

Summary:
- Energy of formation from the pure elements: -1.4062 eV per atom
- Total energy after the MP2020 corrections: -7.3222 eV/atom
- Theoretical density: 8.4 g/cm³
- Final energy: -6.27 eV per atom

=====

# 3
Here is crystalline MgMn8O13F3 at its relaxed geometry from the Materials Project. Energies are from GGA+U.

abc: 7.2908 5.7855 6.5577
angles: 87.39 92.47 83.24
Element x y z (fractional)
F 0.8650 0.8749 0.8841
O 0.6800 0.6149 0.5943
Mn 0.6071 0.6347 0.8855
O 0.1107 0.1410 0.6867
Mn 0.8462 0.1326 0.1049
O 0.5759 0.6452 0.1747
O 0.4145 0.3680 0.8314
Mn 0.6194 0.8749 0.3733
Mn 0.1306 0.8139 0.3580
O 0.1007 0.6713 0.6278
O 0.8690 0.8817 0.3073
Mn 0.1341 0.8488 0.8656
O 0.3639 0.9093 0.4355
O 0.8245 0.4008 0.9208
Mg 0.6091 0.3891 0.3892
Mn 0.9267 0.4176 0.6583
O 0.1224 0.0555 0.1048
F 0.8911 0.3545 0.3627
Mn 0.3741 0.1317 0.6479
O 0.5812 0.1424 0.1761
Mn 0.3191 0.3121 0.0882
O 0.6232 0.1011 0.5807
O 0.1677 0.6063 0.0744
O 0.3930 0.8866 0.8496
F 0.3308 0.3746 0.4082

Summary:
- Energy above the most stable polymorph in this dataset: 0 meV per atom
- Energy of formation from the pure elements: -2.0623 eV per atom
- Total energy after the MP2020 corrections: -7.8608 eV/atom
- Theoretical density: 4.4 g/cm³
- Final energy: -6.91 eV per atom